A relaxed structure of Cu2SnS3. Source: Materials Project, functional PBE-GGA.

```
Cu2SnS3
1.0
-0.0208 -1.6191 6.4849
-3.8375 3.4155 4.2760
0.1681 -3.7394 -5.5376
S Sn Cu
3 1 2
Direct
0.9400 0.6768 0.2632
0.5865 0.3232 0.2632
0.2180 0.0000 0.2180
0.5193 0.5000 0.0193
0.8234 0.8303 0.9931
0.1628 0.1697 0.9931
```

total energy after the MP2020 corrections	-28.080	eV/cell
energy of formation	-577	meV/atom
space group	No. 44

***

A relaxed structure of Cu4Sn7S16. Source: Materials Project, functional PBE-GGA.

```
Cu4Sn7S16
1.0
12.4101 -3.7121 0.0000
12.4101 3.7121 0.0000
11.2997 0.0000 6.3330
S Cu Sn
16 4 7
Direct
0.3801 0.3801 0.8656
0.1245 0.1245 0.1245
0.8838 0.3587 0.8838
0.8838 0.8838 0.3587
0.8765 0.8765 0.8765
0.3801 0.8656 0.3801
0.8656 0.3801 0.3801
0.1183 0.1183 0.6392
0.3750 0.3750 0.3750
0.1332 0.6199 0.6199
0.3587 0.8838 0.8838
0.1183 0.6392 0.1183
0.6199 0.6199 0.1332
0.6199 0.1332 0.6199
0.6235 0.6235 0.6235
0.6392 0.1183 0.1183
0.7058 0.7058 0.7058
0.2946 0.2946 0.2946
0.1883 0.1883 0.1883
0.0002 0.0002 0.0002
0.2504 0.2504 0.7468
0.7544 0.7544 0.2452
0.4976 0.4976 0.4976
0.7468 0.2504 0.2504
0.7544 0.2452 0.7544
0.2452 0.7544 0.7544
0.2504 0.7468 0.2504
```

total energy after the MP2020 corrections	-127.857	eV/cell
energy of formation	-637	meV/atom
space group	No. 160
energy relative to the lowest polymorph listed for this composition	0	meV/atom